# SrEuDyWO6, relaxed, DFT PBE with a Hubbard U
data_SrEuDyWO6
_space_group_name_H-M_alt 'F -4 3 m'
_space_group_IT_number 216
_space_group_name_Hall 'F -4 2 3'
_cell_length_a 8.382
_cell_length_b 8.382
_cell_length_c 8.382
_cell_angle_alpha 90.00
_cell_angle_beta 90.00
_cell_angle_gamma 90.00
loop_
_atom_site_label
_atom_site_type_symbol
_atom_site_fract_x
_atom_site_fract_y
_atom_site_fract_z
_atom_site_occupancy
Sr1 Sr 0.000 0.000 0.000 1
Eu1 Eu 0.000 0.000 0.500 1
Dy1 Dy 0.250 0.250 0.750 1
W1 W 0.250 0.250 0.250 1
O1 O 0.013 0.250 0.250 1
# theoretical density = 7.691 g/cm3
# DFT total energy = -8.05 eV per atom